{
  "formula": "Na9CaFe10Si20O60",
  "functional": "GGA+U",
  "state": "relaxed",
  "lattice_angstrom": [[9.3894, 0.0000, 0.0000], [-0.3468, 10.4017, 0.0000], [-0.9784, -4.0503, 11.4734]],
  "species": ["Na", "Na", "Na", "Na", "Na", "Na", "Na", "Na", "Na", "Ca", "Fe", "Fe", "Fe", "Fe", "Fe", "Fe", "Fe", "Fe", "Fe", "Fe", "Si", "Si", "Si", "Si", "Si", "Si", "Si", "Si", "Si", "Si", "Si", "Si", "Si", "Si", "Si", "Si", "Si", "Si", "Si", "Si", "O", "O", "O", "O", "O", "O", "O", "O", "O", "O", "O", "O", "O", "O", "O", "O", "O", "O", "O", "O", "O", "O", "O", "O", "O", "O", "O", "O", "O", "O", "O", "O", "O", "O", "O", "O", "O", "O", "O", "O", "O", "O", "O", "O", "O", "O", "O", "O", "O", "O", "O", "O", "O", "O", "O", "O", "O", "O", "O", "O"],
  "frac_coords": [[0.0000, 0.0000, 0.0000], [0.0368, 0.4211, 0.9814], [0.1961, 0.6006, 0.4012], [0.2362, 0.0183, 0.3801], [0.4370, 0.6223, 0.7817], [0.5975, 0.8028, 0.2024], [0.6382, 0.2203, 0.1814], [0.7958, 0.4010, 0.6005], [0.8387, 0.8201, 0.5822], [0.3941, 0.1984, 0.8037], [0.0755, 0.3414, 0.4607], [0.1583, 0.6828, 0.9215], [0.2733, 0.9346, 0.8607], [0.3580, 0.2789, 0.3208], [0.4767, 0.5435, 0.2629], [0.5566, 0.8780, 0.7213], [0.6815, 0.1401, 0.6601], [0.7576, 0.4802, 0.1212], [0.8769, 0.7421, 0.0616], [0.9585, 0.0788, 0.5203], [0.0422, 0.3127, 0.1889], [0.1141, 0.6671, 0.6525], [0.1174, 0.3523, 0.7294], [0.1919, 0.7086, 0.1941], [0.2433, 0.9119, 0.5879], [0.3154, 0.2720, 0.0554], [0.3193, 0.9503, 0.1303], [0.3922, 0.3090, 0.5931], [0.4435, 0.5160, 0.9900], [0.5140, 0.8705, 0.4535], [0.5199, 0.5522, 0.5295], [0.5919, 0.9081, 0.9935], [0.6424, 0.1132, 0.3886], [0.7142, 0.4689, 0.8520], [0.7211, 0.1529, 0.9313], [0.7914, 0.5085, 0.3938], [0.8423, 0.7126, 0.7881], [0.9143, 0.0695, 0.2529], [0.9202, 0.7514, 0.3297], [0.9909, 0.1074, 0.7936], [0.0124, 0.1290, 0.3795], [0.0214, 0.2920, 0.6026], [0.0781, 0.9874, 0.8132], [0.0813, 0.4958, 0.8199], [0.0852, 0.6649, 0.0721], [0.0907, 0.7571, 0.3052], [0.1024, 0.2389, 0.7992], [0.1384, 0.7785, 0.5824], [0.1443, 0.2653, 0.0786], [0.1483, 0.0298, 0.5654], [0.1486, 0.3551, 0.3112], [0.1506, 0.5217, 0.5618], [0.2119, 0.7178, 0.7770], [0.2171, 0.8885, 0.0086], [0.2837, 0.0972, 0.2197], [0.2859, 0.5907, 0.2171], [0.2867, 0.2638, 0.4714], [0.2901, 0.3533, 0.7049], [0.3006, 0.8414, 0.2037], [0.3360, 0.3824, 0.9821], [0.3428, 0.8635, 0.4757], [0.3507, 0.6317, 0.9649], [0.3545, 0.9624, 0.7064], [0.3579, 0.1330, 0.9633], [0.4127, 0.3316, 0.1816], [0.4216, 0.4926, 0.4036], [0.4819, 0.6973, 0.6180], [0.4859, 0.1943, 0.6231], [0.4900, 0.8628, 0.8700], [0.4900, 0.9581, 0.1041], [0.4980, 0.4423, 0.6014], [0.5348, 0.9814, 0.3828], [0.5423, 0.4585, 0.8768], [0.5499, 0.2321, 0.3668], [0.5498, 0.5571, 0.1116], [0.5532, 0.7252, 0.3653], [0.6123, 0.9305, 0.5799], [0.6209, 0.0962, 0.8047], [0.6803, 0.2979, 0.0187], [0.6851, 0.4664, 0.2716], [0.6860, 0.7917, 0.0189], [0.6904, 0.5570, 0.5048], [0.6995, 0.0418, 0.0008], [0.7344, 0.5796, 0.7815], [0.7438, 0.0641, 0.2784], [0.7486, 0.1558, 0.5108], [0.7488, 0.8301, 0.7643], [0.7517, 0.3240, 0.7620], [0.8108, 0.5279, 0.9787], [0.8224, 0.6920, 0.2032], [0.8827, 0.8968, 0.4192], [0.8841, 0.0685, 0.6713], [0.8845, 0.3905, 0.4167], [0.8904, 0.1616, 0.9051], [0.8986, 0.6413, 0.4010], [0.9355, 0.1797, 0.1818], [0.9426, 0.6627, 0.6766], [0.9478, 0.4295, 0.1653], [0.9475, 0.7544, 0.9106], [0.9514, 0.9241, 0.1644]],
  "delta_e_f_ev_per_atom": -2.76,
  "crystal_system": "triclinic",
  "dft_energy_ev_per_atom": -7.158,
  "mass_density_g_cm3": 3.45
}


{
  "formula": "VBi2O5",
  "functional": "GGA+U",
  "state": "relaxed",
  "lattice_angstrom": [[5.4559, 0.0000, 0.0000], [0.0000, 16.5461, 0.0000], [0.0000, 0.0000, 15.6031]],
  "species": ["V", "V", "V", "V", "V", "V", "V", "V", "V", "V", "V", "V", "Bi", "Bi", "Bi", "Bi", "Bi", "Bi", "Bi", "Bi", "Bi", "Bi", "Bi", "Bi", "Bi", "Bi", "Bi", "Bi", "Bi", "Bi", "Bi", "Bi", "Bi", "Bi", "Bi", "Bi", "O", "O", "O", "O", "O", "O", "O", "O", "O", "O", "O", "O", "O", "O", "O", "O", "O", "O", "O", "O", "O", "O", "O", "O", "O", "O", "O", "O", "O", "O", "O", "O", "O", "O", "O", "O", "O", "O", "O", "O", "O", "O", "O", "O", "O", "O", "O", "O", "O", "O", "O", "O", "O", "O", "O", "O", "O", "O", "O", "O"],
  "frac_coords": [[0.2409, 0.2500, 0.0151], [0.2483, 0.5821, 0.0006], [0.2483, 0.9179, 0.0006], [0.2517, 0.0821, 0.5006], [0.2517, 0.4179, 0.5006], [0.2591, 0.7500, 0.5151], [0.7409, 0.2500, 0.4849], [0.7483, 0.5821, 0.4994], [0.7483, 0.9179, 0.4994], [0.7517, 0.0821, 0.9994], [0.7517, 0.4179, 0.9994], [0.7591, 0.7500, 0.9849], [0.2355, 0.5850, 0.6681], [0.2355, 0.9150, 0.6681], [0.2364, 0.0895, 0.8274], [0.2364, 0.4105, 0.8274], [0.2454, 0.2500, 0.3599], [0.2468, 0.2500, 0.6635], [0.2532, 0.7500, 0.1635], [0.2546, 0.7500, 0.8599], [0.2636, 0.5895, 0.3274], [0.2636, 0.9105, 0.3274], [0.2645, 0.0850, 0.1681], [0.2645, 0.4150, 0.1681], [0.7355, 0.5850, 0.8319], [0.7355, 0.9150, 0.8319], [0.7364, 0.0895, 0.6726], [0.7364, 0.4105, 0.6726], [0.7454, 0.2500, 0.1401], [0.7468, 0.2500, 0.8365], [0.7532, 0.7500, 0.3365], [0.7546, 0.7500, 0.6401], [0.7636, 0.5895, 0.1726], [0.7636, 0.9105, 0.1726], [0.7645, 0.0850, 0.3319], [0.7645, 0.4150, 0.3319], [0.0000, 0.0000, 0.0000], [0.0000, 0.0000, 0.5000], [0.9999, 0.1655, 0.0550], [0.9999, 0.3345, 0.0550], [0.0000, 0.5000, 0.0000], [0.0000, 0.5000, 0.5000], [0.0001, 0.6655, 0.9450], [0.0001, 0.8345, 0.9450], [0.0012, 0.0105, 0.7481], [0.0012, 0.4895, 0.7481], [0.0030, 0.6692, 0.5521], [0.0030, 0.8308, 0.5521], [0.0106, 0.6715, 0.2508], [0.0106, 0.8285, 0.2508], [0.0565, 0.1522, 0.2657], [0.0565, 0.3478, 0.2657], [0.2194, 0.2500, 0.9048], [0.2380, 0.6138, 0.1047], [0.2380, 0.8862, 0.1047], [0.2620, 0.1138, 0.6047], [0.2620, 0.3862, 0.6047], [0.2806, 0.7500, 0.4048], [0.4435, 0.6522, 0.7657], [0.4435, 0.8478, 0.7657], [0.4894, 0.1715, 0.7508], [0.4894, 0.3285, 0.7508], [0.4970, 0.1692, 0.0521], [0.4970, 0.3308, 0.0521], [0.4988, 0.5105, 0.2481], [0.4988, 0.9895, 0.2481], [0.5000, 0.0000, 0.0000], [0.5000, 0.0000, 0.5000], [0.4999, 0.1655, 0.4450], [0.4999, 0.3345, 0.4450], [0.5000, 0.5000, 0.0000], [0.5000, 0.5000, 0.5000], [0.5001, 0.6655, 0.5550], [0.5001, 0.8345, 0.5550], [0.5012, 0.0105, 0.7519], [0.5012, 0.4895, 0.7519], [0.5030, 0.6692, 0.9479], [0.5030, 0.8308, 0.9479], [0.5106, 0.6715, 0.2492], [0.5106, 0.8285, 0.2492], [0.5565, 0.1522, 0.2343], [0.5565, 0.3478, 0.2343], [0.7194, 0.2500, 0.5952], [0.7380, 0.6138, 0.3953], [0.7380, 0.8862, 0.3953], [0.7620, 0.1138, 0.8953], [0.7620, 0.3862, 0.8953], [0.7806, 0.7500, 0.0952], [0.9435, 0.6522, 0.7343], [0.9435, 0.8478, 0.7343], [0.9894, 0.1715, 0.7492], [0.9894, 0.3285, 0.7492], [0.9970, 0.1692, 0.4479], [0.9970, 0.3308, 0.4479], [0.9988, 0.5105, 0.2519], [0.9988, 0.9895, 0.2519]],
  "delta_e_f_ev_per_atom": -1.89,
  "crystal_system": "orthorhombic",
  "dft_energy_ev_per_atom": -6.445,
  "relative_energy_mev_per_atom": 6,
  "mass_density_g_cm3": 7.77
}


{
  "formula": "Sr10Cu5Mo4WO30",
  "functional": "GGA+U",
  "state": "relaxed",
  "lattice_angstrom": [[3.8869, -4.2465, 0.0000], [3.8869, 4.2465, 0.0000], [-3.8832, 0.0000, 19.4436]],
  "species": ["Sr", "Sr", "Sr", "Sr", "Sr", "Sr", "Sr", "Sr", "Sr", "Sr", "Cu", "Cu", "Cu", "Cu", "Cu", "Mo", "Mo", "Mo", "Mo", "W", "O", "O", "O", "O", "O", "O", "O", "O", "O", "O", "O", "O", "O", "O", "O", "O", "O", "O", "O", "O", "O", "O", "O", "O", "O", "O", "O", "O", "O", "O"],
  "frac_coords": [[0.0503, 0.5503, 0.6006], [0.1501, 0.6500, 0.8001], [0.2500, 0.7500, 0.0000], [0.3500, 0.8499, 0.1999], [0.4497, 0.9497, 0.3994], [0.5503, 0.0503, 0.6006], [0.6500, 0.1501, 0.8001], [0.7500, 0.2500, 0.0000], [0.8499, 0.3500, 0.1999], [0.9497, 0.4497, 0.3994], [0.0000, 0.0000, 0.5000], [0.2000, 0.2000, 0.9000], [0.3997, 0.3997, 0.2996], [0.6003, 0.6003, 0.7004], [0.8000, 0.8000, 0.1000], [0.1001, 0.1001, 0.7001], [0.3000, 0.3000, 0.0999], [0.7000, 0.7000, 0.9001], [0.8999, 0.8999, 0.2999], [0.5000, 0.5000, 0.5000], [0.0446, 0.0446, 0.0817], [0.0704, 0.5296, 0.1000], [0.0964, 0.0964, 0.6016], [0.1035, 0.1035, 0.7985], [0.1295, 0.6704, 0.3000], [0.1554, 0.1554, 0.3182], [0.2443, 0.2443, 0.4815], [0.2703, 0.7297, 0.5000], [0.2965, 0.2965, 0.0016], [0.3035, 0.3035, 0.1984], [0.3296, 0.8705, 0.7000], [0.3555, 0.3555, 0.7183], [0.4446, 0.4446, 0.8817], [0.4704, 0.9296, 0.9000], [0.4967, 0.4967, 0.4014], [0.5033, 0.5033, 0.5986], [0.5296, 0.0704, 0.1000], [0.5554, 0.5554, 0.1183], [0.6445, 0.6445, 0.2817], [0.6704, 0.1295, 0.3000], [0.6965, 0.6965, 0.8016], [0.7035, 0.7035, 0.9984], [0.7297, 0.2703, 0.5000], [0.7557, 0.7557, 0.5185], [0.8446, 0.8446, 0.6818], [0.8705, 0.3296, 0.7000], [0.8965, 0.8965, 0.2015], [0.9036, 0.9036, 0.3984], [0.9296, 0.4704, 0.9000], [0.9554, 0.9554, 0.9183]],
  "delta_e_f_ev_per_atom": -2.39,
  "crystal_system": "monoclinic",
  "dft_energy_ev_per_atom": -6.472,
  "mass_density_g_cm3": 5.80
}


{
  "formula": "LiMnS2O8",
  "functional": "GGA+U",
  "state": "relaxed",
  "lattice_angstrom": [[8.3128, 0.0000, 0.0000], [-3.9761, 7.3630, 0.0000], [-4.1309, -2.2529, 7.6227]],
  "species": ["Li", "Li", "Li", "Mn", "Mn", "Mn", "S", "S", "S", "S", "S", "S", "O", "O", "O", "O", "O", "O", "O", "O", "O", "O", "O", "O", "O", "O", "O", "O", "O", "O", "O", "O", "O", "O", "O", "O"],
  "frac_coords": [[0.0000, 0.0000, 0.0000], [0.2912, 0.0106, 0.9071], [0.6328, 0.3999, 0.0072], [0.3051, 0.5415, 0.4385], [0.8937, 0.3370, 0.8201], [0.8936, 0.8427, 0.3218], [0.0826, 0.7175, 0.1213], [0.0958, 0.6496, 0.6141], [0.3622, 0.4265, 0.1172], [0.4028, 0.2398, 0.6293], [0.7988, 0.9364, 0.6260], [0.8103, 0.1430, 0.1282], [0.0034, 0.2834, 0.2925], [0.1944, 0.5488, 0.5862], [0.2017, 0.6935, 0.2923], [0.2062, 0.4671, 0.9766], [0.2132, 0.0881, 0.4697], [0.2194, 0.8359, 0.0603], [0.2624, 0.8317, 0.7429], [0.2830, 0.2247, 0.0798], [0.3740, 0.2326, 0.7796], [0.4057, 0.5010, 0.2917], [0.4651, 0.4307, 0.6002], [0.5675, 0.5388, 0.1233], [0.5833, 0.2117, 0.6655], [0.5838, 0.8180, 0.6005], [0.6339, 0.1728, 0.0737], [0.7412, 0.9477, 0.1521], [0.7790, 0.8793, 0.4563], [0.8611, 0.1465, 0.9860], [0.8690, 0.1401, 0.6568], [0.8986, 0.5261, 0.9889], [0.9419, 0.5187, 0.6604], [0.9556, 0.9097, 0.7722], [0.9629, 0.6668, 0.4368], [0.9721, 0.8115, 0.1425]],
  "delta_e_f_ev_per_atom": -1.99,
  "crystal_system": "triclinic",
  "dft_energy_ev_per_atom": -6.308,
  "relative_energy_mev_per_atom": 0,
  "mass_density_g_cm3": 2.71
}


{
  "formula": "NaMgCo3O6",
  "functional": "GGA+U",
  "state": "relaxed",
  "lattice_angstrom": [[5.1477, 0.0000, 0.0000], [-2.3937, 4.7003, 0.0000], [-2.2181, -1.5086, 5.0323]],
  "species": ["Na", "Mg", "Co", "Co", "Co", "O", "O", "O", "O", "O", "O"],
  "frac_coords": [[0.0000, 0.0000, 0.0000], [0.7487, 0.3667, 0.1652], [0.1404, 0.5837, 0.7208], [0.3453, 0.1594, 0.6044], [0.4751, 0.7325, 0.3203], [0.0343, 0.5878, 0.9856], [0.1820, 0.3955, 0.4213], [0.3575, 0.3606, 0.8839], [0.5171, 0.9820, 0.8454], [0.5336, 0.1325, 0.3995], [0.9076, 0.7591, 0.4479]],
  "delta_e_f_ev_per_atom": -1.52,
  "crystal_system": "triclinic",
  "dft_energy_ev_per_atom": -5.604,
  "relative_energy_mev_per_atom": 45,
  "mass_density_g_cm3": 4.37
}


{
  "formula": "KMgFeS2O8",
  "functional": "GGA+U",
  "state": "relaxed",
  "lattice_angstrom": [[4.9681, 0.0000, 0.0000], [2.0857, 4.5124, 0.0000], [2.2408, 1.3570, 9.9226]],
  "species": ["K", "Mg", "Fe", "S", "S", "O", "O", "O", "O", "O", "O", "O", "O"],
  "frac_coords": [[0.0000, 0.0000, 0.0000], [0.1988, 0.1632, 0.3039], [0.0856, 0.0629, 0.6323], [0.4916, 0.4588, 0.4403], [0.6883, 0.6686, 0.7852], [0.3489, 0.3193, 0.5582], [0.3601, 0.8034, 0.7764], [0.3692, 0.7915, 0.4422], [0.4401, 0.4024, 0.3121], [0.7315, 0.7024, 0.9174], [0.8060, 0.3426, 0.7736], [0.8246, 0.3363, 0.4427], [0.8415, 0.8121, 0.6686]],
  "delta_e_f_ev_per_atom": -1.89,
  "crystal_system": "triclinic",
  "dft_energy_ev_per_atom": -5.839,
  "relative_energy_mev_per_atom": 0,
  "mass_density_g_cm3": 2.32
}